1.
A relaxed MgFe4P12O36 crystal, computed with PBE+U.

Results
The formation energy comes out at -57.8 kcal/mol of atoms. The value obtained for the energy above the most stable polymorph in this dataset is 0.000 eV/atom. For the mass density, the calculation gives 3.1 Mg/m³. The crystal system is triclinic.

a = 8.5653 Å, b = 8.6436 Å, c = 8.7586 Å
α = 91.14°, β = 90.61°, γ = 91.39°
With the nearest neighbours (Å) after each atom.
Fractional positions:
Mg 0.6520 0.6281 0.6110  6 O 2.08-2.20
Fe 0.8824 0.6515 0.3375  6 O 2.08-2.27
Fe 0.6279 0.3489 0.8527  5 O 2.04-2.20
Fe 0.3612 0.8665 0.6574  6 O 1.96-2.16
Fe 0.1287 0.1401 0.1481  6 O 1.99-2.13
P 0.6858 0.9741 0.8066  4 O 1.48-1.60
P 0.7026 0.3205 0.4327  4 O 1.49-1.62
P 0.8027 0.6958 0.9440  4 O 1.47-1.63
P 0.8179 0.0206 0.3260  4 O 1.49-1.63
P 0.0326 0.6811 0.6929  4 O 1.51-1.61
P 0.1885 0.5116 0.1939  4 O 1.49-1.63
P 0.2049 0.1882 0.5511  4 O 1.49-1.62
P 0.2982 0.8030 0.0553  4 O 1.50-1.63
P 0.3126 0.4835 0.6911  4 O 1.49-1.61
P 0.4644 0.3202 0.1848  4 O 1.48-1.62
P 0.5299 0.8261 0.3219  4 O 1.51-1.61
P 0.9643 0.1729 0.8054  4 O 1.49-1.64
O 0.6264 0.6949 0.3823  1 P 1.52
O 0.9680 0.7249 0.8577  2 P 1.59-1.63
O 0.8956 0.8889 0.4007  1 P 1.49
O 0.8961 0.6356 0.5905  1 P 1.51
O 0.0486 0.2098 0.6470  2 P 1.60-1.61
O 0.1028 0.3713 0.1269  1 P 1.51
O 0.0810 0.1182 0.9205  1 P 1.50
O 0.1193 0.5983 0.3248  1 P 1.49
O 0.1381 0.8106 0.6397  1 P 1.51
O 0.1381 0.5351 0.7305  2 P 1.61
O 0.1619 0.1515 0.3889  1 P 1.49
O 0.1896 0.9131 0.1322  1 P 1.50
O 0.2244 0.6298 0.0556  2 P 1.61-1.63
O 0.2789 0.3624 0.5528  2 P 1.60-1.62
O 0.3138 0.0867 0.6397  1 P 1.51
O 0.3494 0.8315 0.8938  1 P 1.51
O 0.3619 0.4640 0.2439  2 P 1.61-1.62
O 0.3574 0.1869 0.1350  1 P 1.51
O 0.3859 0.4059 0.8228  1 P 1.49
O 0.4066 0.8809 0.4303  1 P 1.51
O 0.4035 0.6227 0.6277  1 P 1.53
O 0.4546 0.7811 0.1590  2 P 1.60-1.63
O 0.5422 0.2736 0.3443  2 P 1.60-1.61
O 0.8642 0.3063 0.8445  1 P 1.49
O 0.5880 0.3754 0.0802  1 P 1.48
O 0.6081 0.8680 0.6825  1 P 1.54
O 0.8993 0.0971 0.1943  1 P 1.51
O 0.6441 0.9650 0.2680  2 P 1.61-1.63
O 0.6550 0.3846 0.5879  1 P 1.52
O 0.6971 0.5951 0.8413  1 P 1.52
O 0.7318 0.8672 0.9471  2 P 1.60-1.61
O 0.7733 0.1503 0.4542  2 P 1.62-1.63
O 0.8107 0.4195 0.3428  1 P 1.49
O 0.8372 0.6547 0.1028  1 P 1.47
O 0.8549 0.0253 0.7458  2 P 1.60-1.64
O 0.5919 0.1059 0.8589  1 P 1.48

2.
A relaxed MgTi2Mn2O6 crystal, computed with PBE+U.

Results
The formation energy comes out at -57.4 kcal/mol of atoms. The value obtained for the energy above the most stable polymorph in this dataset is 0.211 eV/atom. For the mass density, the calculation gives 4.5 Mg/m³. The crystal system is monoclinic.

a = 11.1593 Å, b = 3.0832 Å, c = 6.9911 Å
α = 116.19°, β = 146.06°, γ = 65.51°
With the nearest neighbours (Å) after each atom.
Fractional positions:
Mg 0.0000 0.0000 0.0000  6 O 2.09-2.12
Ti 0.2456 0.3057 0.6744  6 O 1.99-2.23
Ti 0.7544 0.6943 0.3256  6 O 1.99-2.23
Mn 0.6855 0.7748 0.8030  4 O 2.00-2.20
Mn 0.3145 0.2252 0.1970  4 O 2.00-2.20
O 0.2059 0.5660 0.3746  1 Mn 2.10, 2 Mg 2.12, 2 Ti 2.21
O 0.4024 0.8991 0.0029  2 Ti 1.99, 1 Mn 2.00
O 0.9095 0.3404 0.2044  1 Mg 2.09, 2 Ti 2.10-2.23, 2 Mn 2.20
O 0.7941 0.4340 0.6254  1 Mn 2.10, 2 Mg 2.12, 2 Ti 2.21
O 0.5976 0.1009 0.9971  2 Ti 1.99, 1 Mn 2.00
O 0.0905 0.6596 0.7956  1 Mg 2.09, 2 Ti 2.10-2.23, 2 Mn 2.20

3.
A relaxed Sr2VMoO6 crystal, computed with PBE+U.

Results
The formation energy comes out at -62.9 kcal/mol of atoms. The value obtained for the energy above the most stable polymorph in this dataset is 0.026 eV/atom. For the mass density, the calculation gives 5.4 Mg/m³. The crystal system is tetragonal.

a = 4.0417 Å, b = 4.0417 Å, c = 7.8390 Å
α = 90.00°, β = 90.00°, γ = 90.00°
With the nearest neighbours (Å) after each atom.
Fractional positions:
Sr 0.5000 0.5000 0.2346  12 O 2.73-2.90
Sr 0.5000 0.5000 0.7654  12 O 2.73-2.90
V 0.0000 0.0000 0.0000  6 O 1.89-2.02
Mo 0.0000 0.0000 0.5000  6 O 2.02-2.03
O 0.0000 0.0000 0.2415  1 V 1.89, 1 Mo 2.03
O 0.0000 0.0000 0.7585  1 V 1.89, 1 Mo 2.03
O 0.0000 0.5000 0.0000  2 V 2.02
O 0.0000 0.5000 0.5000  2 Mo 2.02
O 0.5000 0.0000 0.0000  2 V 2.02
O 0.5000 0.0000 0.5000  2 Mo 2.02

4.
A relaxed VC6O6 crystal, computed with PBE+U.

Results
The formation energy comes out at -19.5 kcal/mol of atoms. For the mass density, the calculation gives 1.5 Mg/m³. The crystal system is orthorhombic.

a = 6.8209 Å, b = 11.2938 Å, c = 12.7941 Å
α = 90.00°, β = 90.00°, γ = 90.00°
With the nearest neighbours (Å) after each atom.
Fractional positions:
V 0.9385 0.7500 0.1270  6 C 2.01-2.04
V 0.4385 0.2500 0.3730  6 C 2.01-2.04
V 0.0615 0.2500 0.8730  6 C 2.01-2.04
V 0.5615 0.7500 0.6270  6 C 2.01-2.04
C 0.6889 0.7500 0.2147  1 O 1.16
C 0.1889 0.2500 0.2853  1 O 1.16
C 0.3111 0.2500 0.7853  1 O 1.16
C 0.8111 0.7500 0.7147  1 O 1.16
C 0.1898 0.7500 0.0404  1 O 1.16
C 0.6898 0.2500 0.4596  1 O 1.16
C 0.8102 0.2500 0.9596  1 O 1.16
C 0.3102 0.7500 0.5404  1 O 1.16
C 0.8203 0.8687 0.0284  1 O 1.16
C 0.3203 0.1313 0.4716  1 O 1.16
C 0.1797 0.3687 0.9716  1 O 1.16
C 0.6797 0.6313 0.5284  1 O 1.16
C 0.1797 0.1313 0.9716  1 O 1.16
C 0.6797 0.8687 0.5284  1 O 1.16
C 0.8203 0.6313 0.0284  1 O 1.16
C 0.3203 0.3687 0.4716  1 O 1.16
C 0.0581 0.8700 0.2243  1 O 1.16
C 0.5581 0.1300 0.2757  1 O 1.16
C 0.9419 0.3700 0.7757  1 O 1.16
C 0.4419 0.6300 0.7243  1 O 1.16
C 0.9419 0.1300 0.7757  1 O 1.16
C 0.4419 0.8700 0.7243  1 O 1.16
C 0.0581 0.6300 0.2243  1 O 1.16
C 0.5581 0.3700 0.2757  1 O 1.16
O 0.5478 0.7500 0.2648  1 C 1.16
O 0.0478 0.2500 0.2352  1 C 1.16
O 0.4522 0.2500 0.7352  1 C 1.16
O 0.9522 0.7500 0.7648  1 C 1.16
O 0.3327 0.7500 0.9920  1 C 1.16
O 0.8327 0.2500 0.5080  1 C 1.16
O 0.6673 0.2500 0.0080  1 C 1.16
O 0.1673 0.7500 0.4920  1 C 1.16
O 0.7528 0.9355 0.9697  1 C 1.16
O 0.2528 0.0645 0.5303  1 C 1.16
O 0.2472 0.4355 0.0303  1 C 1.16
O 0.7472 0.5645 0.4697  1 C 1.16
O 0.2472 0.0645 0.0303  1 C 1.16
O 0.7472 0.9355 0.4697  1 C 1.16
O 0.7528 0.5645 0.9697  1 C 1.16
O 0.2528 0.4355 0.5303  1 C 1.16
O 0.1283 0.9381 0.2808  1 C 1.16
O 0.6283 0.0619 0.2192  1 C 1.16
O 0.8717 0.4381 0.7192  1 C 1.16
O 0.3717 0.5619 0.7808  1 C 1.16
O 0.8717 0.0619 0.7192  1 C 1.16
O 0.3717 0.9381 0.7808  1 C 1.16
O 0.1283 0.5619 0.2808  1 C 1.16
O 0.6283 0.4381 0.2192  1 C 1.16